# PBE NbS, optimized geometry
# Formation enthalpy at 0 K (eV per atom): -1.15
data_NbS
_chemical_formula_sum 'Nb2 S2'
_space_group_name_H-M_alt 'P 1'
_space_group_IT_number 1
_space_group_name_Hall 'P 1'
_cell_length_a 3.3100
_cell_length_b 3.3100
_cell_length_c 6.6691
_cell_angle_alpha 90.00
_cell_angle_beta 90.00
_cell_angle_gamma 120.00
loop_
_atom_site_label
_atom_site_type_symbol
_atom_site_fract_x
_atom_site_fract_y
_atom_site_fract_z
Nb1 Nb 0.0000 0.0000 0.0000
Nb2 Nb 0.0000 0.0000 0.5000
S1 S 0.6667 0.3333 0.7500
S2 S 0.3333 0.6667 0.2500